A plane-wave DFT calculation with PBE+U was carried out for Li4Mn3FeB4O12 after structural relaxation.

Values from the calculation:
**Theoretical density**: 3.2 g/cm3
**Symmetry**: No. 1
**Calculated total energy**: -7.219 eV per atom
**Magnetization**: 19.0 μB per cell

Lattice parameters (Å, degrees): 5.173 5.233 11.077 76.41 78.97 60.90
Element x y z (fractional)
1 O 0.196 0.530 0.159
2 O 0.304 0.964 0.336
3 O 0.696 0.036 0.663
4 O 0.600 0.434 0.351
5 O 0.702 0.786 0.089
6 O 0.804 0.464 0.837
7 O 0.909 0.061 0.147
8 O 0.287 0.220 0.915
9 O 0.101 0.934 0.852
10 O 0.212 0.279 0.586
11 O 0.398 0.567 0.649
12 O 0.789 0.720 0.413
13 B 0.438 0.296 0.631
14 B 0.938 0.797 0.131
15 B 0.562 0.704 0.368
16 B 0.061 0.204 0.870
17 Li 0.399 0.532 0.836
18 Li 0.101 0.968 0.665
19 Li 0.901 0.033 0.335
20 Li 0.603 0.465 0.164
21 Fe 0.279 0.141 0.118
22 Mn 0.721 0.866 0.883
23 Mn 0.223 0.362 0.382
24 Mn 0.777 0.636 0.618